A geometry-optimized Ac2S3 structure, computed with r²SCAN.

abc: 14.998 14.998 14.998
angles: 144.74 144.74 50.72
Sites, in units of the cell vectors:
S: 0.217 0.461 0.390
S: 0.890 0.137 0.894
S: 0.863 0.756 0.753
S: 0.506 0.113 0.253
S: 0.071 0.827 0.610
S: 0.211 0.467 0.890
S: 0.533 0.423 0.744
S: 0.887 0.140 0.394
S: 0.348 0.432 0.247
S: 0.182 0.598 0.747
S: 0.539 0.929 0.756
S: 0.577 0.321 0.110
S: 0.899 0.652 0.084
S: 0.402 0.149 0.584
S: 0.746 0.494 0.606
S: 0.244 0.996 0.106
S: 0.568 0.815 0.916
S: 0.565 0.818 0.416
S: 0.004 0.110 0.247
S: 0.860 0.254 0.747
S: 0.173 0.783 0.244
S: 0.679 0.789 0.256
S: 0.185 0.101 0.753
S: 0.851 0.435 0.253
Ac: 0.702 0.104 0.883
Ac: 0.375 0.745 0.870
Ac: 0.875 0.505 0.130
Ac: 0.529 0.146 0.098
Ac: 0.181 0.298 0.402
Ac: 0.586 0.086 0.500
Ac: 0.255 0.125 0.630
Ac: 0.048 0.431 0.902
Ac: 0.854 0.952 0.383
Ac: 0.896 0.779 0.598
Ac: 0.221 0.819 0.117
Ac: 0.569 0.471 0.617
Ac: 0.914 0.414 0.500
Ac: 0.164 0.164 0.000
Ac: 0.836 0.836 0.000
Ac: 0.495 0.625 0.370

formation energy from the elements: -2.493 eV/atom
space group: I-42d (122)
spin magnetization: 0.00 μB/cell
calculated total energy: -34.77 eV per atom
energy above the lowest structure with this stoichiometry: 0.0 meV/atom